Record 1
This record from the Materials Project describes U2Mo2C3 after structural relaxation. The functional is GGA-PBE.

Unit cell a=11.5680 b=3.1364 c=5.5657 alpha=90.00 beta=105.73 gamma=90.00
Space group C2/m (No. 12)
Unique sites:
U  0.1035  0.0000  0.3297 [4 per cell]
Mo  0.1546  0.5000  0.8672 [4 per cell]
C  0.0000  0.5000  0.0000 [2 per cell]
C  0.2480  0.0000  0.7390 [4 per cell]

Results
E_form   -0.14 eV per atom

Record 2
This record from the Materials Project describes UGe2Ir2 after structural relaxation. The functional is GGA-PBE.

Unit cell a=4.1241 b=4.1241 c=10.4814 alpha=90.00 beta=90.00 gamma=90.00
Space group I4/mmm (No. 139)
Unique sites:
U  0.0000  0.0000  0.0000 [2 per cell]
Ge  0.0000  0.0000  0.3818 [4 per cell]
Ir  0.0000  0.5000  0.2500 [4 per cell]

Results
E_form   -0.38 eV per atom

In the order shown, the computed energy above the lowest structure with this stoichiometry values come out to 69 100 meV per atom.
In the order shown, the computed M_tot values come out to 0.0000 0.0364 μB per atom.
In the order shown, the computed uncorrected energy values come out to -10.4156 -8.0220 eV per atom.